(1)
Density functional theory data (PBE-GGA) for ThTi2O6 after structural relaxation.

Unit cell a=5.3403 b=5.3403 c=7.0941 alpha=117.17 beta=117.17 gamma=42.22
Fractional positions:
1 Th 0.0000 0.0000 0.0000
2 Ti 0.1767 0.1767 0.6074
3 Ti 0.8233 0.8233 0.3926
4 O 0.0250 0.0250 0.6898
5 O 0.2782 0.2782 0.4043
6 O 0.3457 0.3457 0.8911
7 O 0.6543 0.6543 0.1089
8 O 0.7218 0.7218 0.5957
9 O 0.9750 0.9750 0.3102

Results
- formation energy from the elements (eV per atom) = -3.790
- E above lowest polymorph (meV per atom) = 0
- calculated volume (Å³/atom) = 13.173



(2)
Density functional theory data (PBE-GGA) for ThU8O18 after structural relaxation.

Unit cell a=6.6685 b=6.6686 c=8.6083 alpha=75.04 beta=82.58 gamma=80.40
Fractional positions:
1 Th 0.0000 0.0000 0.0000
2 U 0.1126 0.5559 0.7754
3 U 0.2236 0.1114 0.5528
4 U 0.3347 0.6656 0.3344
5 U 0.4437 0.2245 0.1118
6 U 0.5563 0.7755 0.8882
7 U 0.6653 0.3344 0.6656
8 U 0.7764 0.8886 0.4472
9 U 0.8874 0.4441 0.2246
10 O 0.0003 0.2548 0.7454
11 O 0.9997 0.7452 0.2546
12 O 0.1107 0.8053 0.5279
13 O 0.1139 0.3104 0.0285
14 O 0.2232 0.3602 0.3067
15 O 0.2262 0.8588 0.8021
16 O 0.3341 0.4173 0.5830
17 O 0.3385 0.9147 0.0855
18 O 0.4441 0.9716 0.3624
19 O 0.4456 0.4726 0.8606
20 O 0.5544 0.5274 0.1394
21 O 0.5559 0.0284 0.6376
22 O 0.6615 0.0853 0.9145
23 O 0.6659 0.5827 0.4170
24 O 0.7738 0.1412 0.1979
25 O 0.7768 0.6398 0.6933
26 O 0.8861 0.6896 0.9715
27 O 0.8893 0.1947 0.4721

Results
- formation energy from the elements (eV per atom) = -3.805
- calculated volume (Å³/atom) = 13.450



(3)
Density functional theory data (PBE-GGA) for Y2Th5O13 after structural relaxation.

Unit cell a=22.8225 b=22.8225 c=22.8225 alpha=9.86 beta=9.86 gamma=9.86
Fractional positions:
1 Y 0.0000 0.0000 0.0000
2 Y 0.2833 0.2833 0.2833
3 Th 0.1427 0.1427 0.1427
4 Th 0.4281 0.4281 0.4281
5 Th 0.5720 0.5720 0.5720
6 Th 0.7134 0.7134 0.7134
7 Th 0.8572 0.8572 0.8572
8 O 0.0345 0.0345 0.0345
9 O 0.1061 0.1061 0.1061
10 O 0.1777 0.1777 0.1777
11 O 0.2499 0.2499 0.2499
12 O 0.3916 0.3916 0.3916
13 O 0.4633 0.4633 0.4633
14 O 0.5352 0.5352 0.5352
15 O 0.6072 0.6072 0.6072
16 O 0.6730 0.6730 0.6730
17 O 0.7485 0.7485 0.7485
18 O 0.8207 0.8207 0.8207
19 O 0.8924 0.8924 0.8924
20 O 0.9689 0.9689 0.9689

Results
- formation energy from the elements (eV per atom) = -4.212
- calculated volume (Å³/atom) = 15.143
- size of the total moment (μB per cell) = 0.0



(4)
Density functional theory data (PBE-GGA) for YTh4O10 after structural relaxation.

Unit cell a=6.8436 b=6.8436 c=6.8436 alpha=99.61 beta=99.61 gamma=131.78
Fractional positions:
1 Y 0.0000 0.0000 0.0000
2 Th 0.2018 0.3990 0.6008
3 Th 0.3990 0.7982 0.1972
4 Th 0.6010 0.2018 0.8028
5 Th 0.7982 0.6010 0.3992
6 O 0.0502 0.3497 0.8998
7 O 0.1505 0.0502 0.7005
8 O 0.2500 0.7500 0.5000
9 O 0.3497 0.4499 0.2995
10 O 0.4499 0.1505 0.1002
11 O 0.5501 0.8495 0.8998
12 O 0.6503 0.5501 0.7005
13 O 0.7500 0.2500 0.5000
14 O 0.8495 0.9498 0.2995
15 O 0.9498 0.6503 0.1002

Results
- formation energy from the elements (eV per atom) = -4.120
- calculated volume (Å³/atom) = 14.545
- size of the total moment (μB per cell) = 1.0